(1)
DFT (PBE) results for crystalline K6Na14Tl18Zn at its relaxed geometry.

Properties
The value obtained for the total magnetization is 0.000 μB/atom. Its formation energy is -0.12 eV per atom.

abc: 10.818 10.818 10.818
angles: 90.00 90.00 90.00
Atoms (fractional coordinates):
K 0.000 0.188 0.500
K 0.000 0.812 0.500
K 0.188 0.500 0.000
K 0.500 0.000 0.188
K 0.500 0.000 0.812
K 0.812 0.500 0.000
Na 0.000 0.500 0.330
Na 0.000 0.500 0.670
Na 0.280 0.280 0.280
Na 0.280 0.280 0.720
Na 0.280 0.720 0.280
Na 0.280 0.720 0.720
Na 0.330 0.000 0.500
Na 0.500 0.330 0.000
Na 0.500 0.670 0.000
Na 0.670 0.000 0.500
Na 0.720 0.280 0.280
Na 0.720 0.280 0.720
Na 0.720 0.720 0.280
Na 0.720 0.720 0.720
Tl 0.000 0.252 0.154
Tl 0.000 0.252 0.846
Tl 0.000 0.748 0.154
Tl 0.000 0.748 0.846
Tl 0.154 0.000 0.252
Tl 0.154 0.000 0.748
Tl 0.252 0.154 0.000
Tl 0.252 0.846 0.000
Tl 0.280 0.500 0.500
Tl 0.500 0.280 0.500
Tl 0.500 0.500 0.280
Tl 0.500 0.500 0.720
Tl 0.500 0.720 0.500
Tl 0.720 0.500 0.500
Tl 0.748 0.154 0.000
Tl 0.748 0.846 0.000
Tl 0.846 0.000 0.252
Tl 0.846 0.000 0.748
Zn 0.000 0.000 0.000

=====

(2)
DFT (PBE) results for crystalline ZnCr4S8 at its relaxed geometry.

Properties
The energy with MP2020 corrections comes out at -81.07 eV per cell. The value obtained for the total magnetization is 0.012 μB/atom. The calculation puts the offset from the most stable computed form at 6.13 kcal/mol of atoms. Its formation energy is -0.62 eV per atom.

abc: 6.951 6.951 6.951
angles: 59.83 59.83 59.83
Atoms (fractional coordinates):
Zn 0.000 0.000 0.000
Cr 0.000 0.500 0.500
Cr 0.500 0.000 0.500
Cr 0.500 0.500 0.000
Cr 0.500 0.500 0.500
S 0.255 0.255 0.731
S 0.255 0.731 0.255
S 0.257 0.257 0.257
S 0.269 0.745 0.745
S 0.731 0.255 0.255
S 0.743 0.743 0.743
S 0.745 0.269 0.745
S 0.745 0.745 0.269

=====

(3)
DFT (PBE) results for crystalline ReC2 at its relaxed geometry.

Properties
The value obtained for the total magnetization is 0.000 μB/atom. The calculation puts the offset from the most stable computed form at 0.00 kcal/mol of atoms. Its formation energy is 0.43 eV per atom.

abc: 2.871 2.871 8.158
angles: 90.00 90.00 120.00
Atoms (fractional coordinates):
Re 0.333 0.667 0.250
Re 0.667 0.333 0.750
C 0.000 0.000 0.085
C 0.000 0.000 0.415
C 0.000 0.000 0.585
C 0.000 0.000 0.915

=====

(4)
DFT (PBE) results for crystalline K3NbHOF7 at its relaxed geometry.

Properties
The energy with MP2020 corrections comes out at -149.51 eV per cell. The value obtained for the total magnetization is 0.000 μB/atom. Its formation energy is -3.04 eV per atom.

abc: 8.446 8.446 7.004
angles: 91.92 91.92 116.54
Atoms (fractional coordinates):
K 0.159 0.841 0.750
K 0.174 0.367 0.786
K 0.367 0.174 0.286
K 0.633 0.826 0.714
K 0.826 0.633 0.214
K 0.841 0.159 0.250
Nb 0.334 0.666 0.250
Nb 0.666 0.334 0.750
H 0.000 0.000 0.000
H 0.000 0.000 0.500
O 0.459 0.541 0.250
O 0.541 0.459 0.750
F 0.094 0.146 0.479
F 0.101 0.466 0.165
F 0.146 0.094 0.979
F 0.187 0.813 0.250
F 0.271 0.634 0.524
F 0.366 0.729 0.976
F 0.466 0.101 0.665
F 0.534 0.899 0.335
F 0.634 0.271 0.024
F 0.729 0.366 0.476
F 0.813 0.187 0.750
F 0.854 0.906 0.021
F 0.899 0.534 0.835
F 0.906 0.854 0.521

=====

(5)
DFT (PBE) results for crystalline Y2S3O12 at its relaxed geometry.

Properties
The energy with MP2020 corrections comes out at -778.52 eV per cell. The value obtained for the total magnetization is 0.000 μB/atom. The calculation puts the offset from the most stable computed form at 0.06 kcal/mol of atoms. Its formation energy is -2.65 eV per atom.

abc: 9.288 9.288 23.788
angles: 90.00 90.00 120.00
Atoms (fractional coordinates):
Y 0.000 0.000 0.355
Y 0.000 0.000 0.855
Y 0.000 0.000 0.645
Y 0.000 0.000 0.145
Y 0.667 0.333 0.688
Y 0.667 0.333 0.188
Y 0.667 0.333 0.978
Y 0.667 0.333 0.478
Y 0.333 0.667 0.022
Y 0.333 0.667 0.522
Y 0.333 0.667 0.312
Y 0.333 0.667 0.812
S 0.291 0.000 0.250
S 0.709 0.709 0.250
S 0.000 0.291 0.250
S 0.291 0.291 0.750
S 0.000 0.709 0.750
S 0.709 0.000 0.750
S 0.957 0.333 0.583
S 0.376 0.043 0.583
S 0.667 0.624 0.583
S 0.957 0.624 0.083
S 0.667 0.043 0.083
S 0.376 0.333 0.083
S 0.624 0.667 0.917
S 0.043 0.376 0.917
S 0.333 0.957 0.917
S 0.624 0.957 0.417
S 0.333 0.376 0.417
S 0.043 0.667 0.417
O 0.212 0.026 0.300
O 0.814 0.788 0.300
O 0.974 0.186 0.300
O 0.212 0.186 0.800
O 0.974 0.788 0.800
O 0.814 0.026 0.800
O 0.788 0.974 0.700
O 0.186 0.212 0.700
O 0.026 0.814 0.700
O 0.788 0.814 0.200
O 0.026 0.212 0.200
O 0.186 0.974 0.200
O 0.879 0.360 0.634
O 0.481 0.121 0.634
O 0.640 0.519 0.634
O 0.879 0.519 0.134
O 0.640 0.121 0.134
O 0.481 0.360 0.134
O 0.454 0.307 0.033
O 0.853 0.546 0.033
O 0.693 0.147 0.033
O 0.454 0.147 0.533
O 0.693 0.546 0.533
O 0.853 0.307 0.533
O 0.546 0.693 0.967
O 0.147 0.454 0.967
O 0.307 0.853 0.967
O 0.546 0.853 0.467
O 0.307 0.454 0.467
O 0.147 0.693 0.467
O 0.121 0.640 0.366
O 0.519 0.879 0.366
O 0.360 0.481 0.366
O 0.121 0.481 0.866
O 0.360 0.879 0.866
O 0.519 0.640 0.866
O 0.024 0.815 0.408
O 0.790 0.976 0.408
O 0.185 0.210 0.408
O 0.024 0.210 0.908
O 0.185 0.976 0.908
O 0.790 0.815 0.908
O 0.976 0.185 0.592
O 0.210 0.024 0.592
O 0.815 0.790 0.592
O 0.976 0.790 0.092
O 0.815 0.024 0.092
O 0.210 0.185 0.092
O 0.691 0.148 0.742
O 0.457 0.309 0.742
O 0.852 0.543 0.742
O 0.691 0.543 0.242
O 0.852 0.309 0.242
O 0.457 0.148 0.242
O 0.643 0.519 0.925
O 0.876 0.357 0.925
O 0.481 0.124 0.925
O 0.643 0.124 0.425
O 0.481 0.357 0.425
O 0.876 0.519 0.425
O 0.357 0.481 0.075
O 0.124 0.643 0.075
O 0.519 0.876 0.075
O 0.357 0.876 0.575
O 0.519 0.643 0.575
O 0.124 0.481 0.575
O 0.309 0.852 0.258
O 0.543 0.691 0.258
O 0.148 0.457 0.258
O 0.309 0.457 0.758
O 0.148 0.691 0.758
O 0.543 0.852 0.758

=====

(6)
DFT (PBE) results for crystalline K2LiTbCl6 at its relaxed geometry.

Properties
The energy with MP2020 corrections comes out at -44.18 eV per cell. The value obtained for the total magnetization is 0.000 μB/atom. Its formation energy is -2.43 eV per atom.

abc: 7.360 7.360 7.360
angles: 60.00 60.00 60.00
Atoms (fractional coordinates):
K 0.250 0.250 0.250
K 0.750 0.750 0.750
Li 0.000 0.000 0.000
Tb 0.500 0.500 0.500
Cl 0.247 0.247 0.753
Cl 0.247 0.753 0.247
Cl 0.247 0.753 0.753
Cl 0.753 0.247 0.247
Cl 0.753 0.247 0.753
Cl 0.753 0.753 0.247

=====

(7)
DFT (PBE) results for crystalline Sn2Ge2O7 at its relaxed geometry.

Properties
The energy with MP2020 corrections comes out at -294.24 eV per cell. The value obtained for the total magnetization is 0.000 μB/atom. Its formation energy is -1.97 eV per atom.

abc: 6.908 6.978 13.264
angles: 80.92 84.63 81.53
Atoms (fractional coordinates):
Sn 0.063 0.169 0.137
Sn 0.132 0.394 0.346
Sn 0.344 0.271 0.640
Sn 0.418 0.725 0.132
Sn 0.582 0.275 0.868
Sn 0.656 0.729 0.360
Sn 0.868 0.606 0.654
Sn 0.937 0.831 0.863
Ge 0.077 0.306 0.873
Ge 0.139 0.877 0.371
Ge 0.360 0.780 0.577
Ge 0.450 0.817 0.804
Ge 0.550 0.183 0.196
Ge 0.640 0.220 0.423
Ge 0.861 0.123 0.629
Ge 0.923 0.694 0.127
O 0.033 0.457 0.182
O 0.044 0.276 0.628
O 0.066 0.109 0.298
O 0.087 0.862 0.138
O 0.150 0.296 0.996
O 0.191 0.925 0.493
O 0.233 0.806 0.883
O 0.255 0.570 0.629
O 0.300 0.243 0.798
O 0.361 0.745 0.319
O 0.378 0.064 0.144
O 0.386 0.944 0.670
O 0.409 0.269 0.489
O 0.425 0.399 0.236
O 0.575 0.601 0.764
O 0.591 0.731 0.511
O 0.614 0.056 0.330
O 0.622 0.936 0.856
O 0.639 0.255 0.681
O 0.700 0.757 0.202
O 0.745 0.430 0.371
O 0.767 0.194 0.117
O 0.809 0.075 0.507
O 0.850 0.704 0.004
O 0.913 0.138 0.862
O 0.934 0.891 0.702
O 0.956 0.724 0.372
O 0.967 0.543 0.818

=====

(8)
DFT (PBE) results for crystalline MgBO3 at its relaxed geometry.

Properties
The energy with MP2020 corrections comes out at -286.48 eV per cell. The value obtained for the total magnetization is 0.200 μB/atom. Its formation energy is -2.54 eV per atom.

abc: 3.220 10.434 12.485
angles: 90.00 95.10 90.00
Atoms (fractional coordinates):
Mg 0.211 0.082 0.405
Mg 0.211 0.418 0.905
Mg 0.258 0.631 0.494
Mg 0.258 0.869 0.994
Mg 0.742 0.131 0.006
Mg 0.742 0.369 0.506
Mg 0.789 0.582 0.095
Mg 0.789 0.918 0.595
B 0.121 0.046 0.810
B 0.121 0.454 0.310
B 0.257 0.170 0.643
B 0.257 0.330 0.143
B 0.743 0.670 0.857
B 0.743 0.830 0.357
B 0.879 0.546 0.690
B 0.879 0.954 0.190
O 0.104 0.048 0.244
O 0.104 0.452 0.744
O 0.214 0.156 0.751
O 0.214 0.344 0.251
O 0.222 0.046 0.918
O 0.222 0.454 0.418
O 0.267 0.209 0.099
O 0.267 0.291 0.599
O 0.286 0.065 0.576
O 0.286 0.435 0.076
O 0.287 0.701 0.077
O 0.287 0.799 0.577
O 0.713 0.201 0.423
O 0.713 0.299 0.923
O 0.714 0.565 0.924
O 0.714 0.935 0.424
O 0.733 0.709 0.401
O 0.733 0.791 0.901
O 0.778 0.546 0.582
O 0.778 0.954 0.082
O 0.786 0.656 0.749
O 0.786 0.844 0.249
O 0.896 0.548 0.256
O 0.896 0.952 0.756

=====

(9)
DFT (PBE) results for crystalline NdAs at its relaxed geometry.

Properties
The value obtained for the total magnetization is 0.000 μB/atom. Its formation energy is -1.07 eV per atom.

abc: 3.884 3.884 3.277
angles: 90.00 90.00 90.00
Atoms (fractional coordinates):
Nd 0.000 0.000 0.000
As 0.500 0.500 0.500

=====

(10)
DFT (PBE) results for crystalline NaLi4H10N5 at its relaxed geometry.

Properties
The energy with MP2020 corrections comes out at -383.47 eV per cell. The value obtained for the total magnetization is 0.000 μB/atom. Its formation energy is -0.56 eV per atom.

abc: 28.682 28.682 28.682
angles: 169.84 169.84 14.38
Atoms (fractional coordinates):
Na 0.100 0.100 0.000
Na 0.300 0.300 0.000
Na 0.700 0.700 0.000
Na 0.900 0.900 0.000
Li 0.048 0.548 0.500
Li 0.050 0.050 0.000
Li 0.148 0.148 0.000
Li 0.250 0.750 0.500
Li 0.252 0.252 0.000
Li 0.348 0.348 0.000
Li 0.452 0.952 0.500
Li 0.453 0.453 0.000
Li 0.500 0.500 0.000
Li 0.547 0.547 0.000
Li 0.650 0.150 0.500
Li 0.652 0.652 0.000
Li 0.748 0.748 0.000
Li 0.850 0.350 0.500
Li 0.852 0.852 0.000
Li 0.950 0.950 0.000
H 0.039 0.891 0.361
H 0.068 0.314 0.432
H 0.091 0.838 0.584
H 0.097 0.513 0.754
H 0.109 0.470 0.148
H 0.123 0.749 0.845
H 0.130 0.278 0.639
H 0.162 0.745 0.252
H 0.251 0.096 0.374
H 0.255 0.507 0.416
H 0.291 0.039 0.584
H 0.293 0.709 0.748
H 0.311 0.679 0.157
H 0.321 0.478 0.633
H 0.322 0.961 0.852
H 0.364 0.932 0.246
H 0.439 0.291 0.361
H 0.455 0.707 0.416
H 0.487 0.241 0.585
H 0.493 0.909 0.748
H 0.509 0.870 0.148
H 0.522 0.154 0.843
H 0.530 0.678 0.639
H 0.562 0.145 0.252
H 0.639 0.491 0.361
H 0.656 0.903 0.415
H 0.686 0.118 0.754
H 0.691 0.438 0.584
H 0.709 0.070 0.148
H 0.722 0.361 0.852
H 0.723 0.877 0.626
H 0.759 0.344 0.246
H 0.846 0.689 0.367
H 0.855 0.107 0.416
H 0.882 0.636 0.568
H 0.893 0.309 0.748
H 0.904 0.277 0.155
H 0.922 0.561 0.852
H 0.930 0.078 0.639
H 0.961 0.545 0.252
N 0.028 0.007 0.494
N 0.066 0.572 0.979
N 0.113 0.134 0.506
N 0.195 0.692 0.025
N 0.244 0.218 0.516
N 0.271 0.756 0.974
N 0.308 0.334 0.503
N 0.393 0.887 0.022
N 0.428 0.407 0.494
N 0.466 0.972 0.979
N 0.513 0.534 0.506
N 0.593 0.087 0.021
N 0.628 0.607 0.494
N 0.666 0.169 0.975
N 0.702 0.729 0.484
N 0.782 0.298 0.026
N 0.831 0.805 0.497
N 0.866 0.372 0.978
N 0.913 0.934 0.506
N 0.993 0.487 0.021

=====

Which value of formation energy does entry 7 give?
-1.97 eV per atom